No. 1
A relaxed LiSm4Ti2Mn2O12 crystal, computed with PBE+U.

Cell and atoms, written as CIF:
```
data_LiSm4Ti2Mn2O12
_chemical_formula_sum 'Li1 Sm4 Ti2 Mn2 O12'
_symmetry_space_group_name_H-M 'P 1'
_symmetry_Int_Tables_number 1
_cell_length_a 5.472
_cell_length_b 6.017
_cell_length_c 7.896
_cell_angle_alpha 89.20
_cell_angle_beta 89.18
_cell_angle_gamma 88.50
loop_
_symmetry_equiv_pos_as_xyz
'x,y,z'
loop_
_atom_site_label
_atom_site_fract_x
_atom_site_fract_y
_atom_site_fract_z
_atom_site_occupancy
Li1 0.000 0.000 0.000 1
Sm1 0.123 0.153 0.602 1
Sm2 0.184 0.340 0.142 1
Sm3 0.584 0.817 0.109 1
Sm4 0.655 0.664 0.593 1
Ti1 0.123 0.685 0.837 1
Ti2 0.652 0.234 0.361 1
Mn1 0.132 0.746 0.358 1
Mn2 0.623 0.240 0.857 1
O1 0.013 0.705 0.088 1
O2 0.257 0.776 0.621 1
O3 0.316 0.056 0.937 1
O4 0.344 0.052 0.313 1
O5 0.427 0.555 0.919 1
O6 0.466 0.546 0.302 1
O7 0.522 0.285 0.596 1
O8 0.780 0.185 0.118 1
O9 0.825 0.942 0.426 1
O10 0.848 0.912 0.799 1
O11 0.949 0.440 0.780 1
O12 0.952 0.419 0.408 1
```

Properties
E above lowest polymorph   0.0000 eV per atom
Energy of formation   -3.226 eV per atom
Total magnetic moment   9.005 μB/f.u.
Crystal system   triclinic


No. 2
A relaxed MnOF crystal, computed with PBE+U.

Cell and atoms, written as CIF:
```
data_MnOF
_chemical_formula_sum 'Mn6 O6 F6'
_symmetry_space_group_name_H-M 'P 1 21 1'
_symmetry_Int_Tables_number 4
_cell_length_a 4.652
_cell_length_b 4.614
_cell_length_c 9.532
_cell_angle_alpha 90.00
_cell_angle_beta 90.91
_cell_angle_gamma 90.00
loop_
_symmetry_equiv_pos_as_xyz
'x,y,z'
'-x,y+1/2,-z'
loop_
_atom_site_label
_atom_site_fract_x
_atom_site_fract_y
_atom_site_fract_z
_atom_site_occupancy
Mn1 0.215 0.000 0.252 1
Mn2 0.220 0.000 0.915 1
Mn3 0.282 0.051 0.583 1
O1 0.045 0.188 0.089 1
O2 0.083 0.203 0.748 1
O3 0.428 0.851 0.417 1
F1 0.023 0.249 0.416 1
F2 0.447 0.788 0.074 1
F3 0.481 0.803 0.755 1
```

Properties
Energy of formation   -2.345 eV per atom
Total magnetic moment   4.000 μB/f.u.
Crystal system   monoclinic


No. 3
A relaxed CoHRu3C13O13 crystal, computed with PBE+U.

Cell and atoms, written as CIF:
```
data_CoHRu3C13O13
_chemical_formula_sum 'Co4 H4 Ru12 C52 O52'
_symmetry_space_group_name_H-M 'P 1 21/c 1'
_symmetry_Int_Tables_number 14
_cell_length_a 8.557
_cell_length_b 15.314
_cell_length_c 15.800
_cell_angle_alpha 90.00
_cell_angle_beta 105.60
_cell_angle_gamma 90.00
loop_
_symmetry_equiv_pos_as_xyz
'x,y,z'
'-x,-y,-z'
'-x,y+1/2,-z+1/2'
'x,-y+1/2,z+1/2'
loop_
_atom_site_label
_atom_site_fract_x
_atom_site_fract_y
_atom_site_fract_z
_atom_site_occupancy
Co1 0.104 0.093 0.173 1
H1 0.247 0.067 0.366 1
Ru1 0.257 0.526 0.798 1
Ru2 0.286 0.169 0.318 1
Ru3 0.426 0.074 0.197 1
C1 0.013 0.508 0.700 1
C2 0.031 0.172 0.245 1
C3 0.060 0.628 0.413 1
C4 0.130 0.582 0.866 1
C5 0.200 0.218 0.409 1
C6 0.209 0.067 0.086 1
C7 0.281 0.622 0.726 1
C8 0.314 0.226 0.759 1
C9 0.372 0.563 0.216 1
C10 0.460 0.549 0.881 1
C11 0.492 0.516 0.630 1
C12 0.493 0.172 0.141 1
C13 0.498 0.672 0.105 1
O1 0.054 0.619 0.905 1
O2 0.086 0.709 0.249 1
O3 0.105 0.051 0.816 1
O4 0.148 0.248 0.463 1
O5 0.167 0.653 0.469 1
O6 0.184 0.050 0.011 1
O7 0.242 0.555 0.169 1
O8 0.297 0.681 0.682 1
O9 0.325 0.162 0.721 1
O10 0.374 0.676 0.053 1
O11 0.421 0.065 0.565 1
O12 0.466 0.731 0.394 1
O13 0.470 0.069 0.913 1
```

Properties
Energy of formation   -0.876 eV per atom
Total magnetic moment   0.056 μB/f.u.
Crystal system   monoclinic


No. 4
A relaxed CaCrO6 crystal, computed with PBE+U.

Cell and atoms, written as CIF:
```
data_CaCrO6
_chemical_formula_sum 'Ca8 Cr8 O48'
_symmetry_space_group_name_H-M 'P b c m'
_symmetry_Int_Tables_number 57
_cell_length_a 5.976
_cell_length_b 16.721
_cell_length_c 11.520
_cell_angle_alpha 90.00
_cell_angle_beta 90.00
_cell_angle_gamma 90.00
loop_
_symmetry_equiv_pos_as_xyz
'x,y,z'
'-x,-y,-z'
'-x,-y,z+1/2'
'x,y,-z+1/2'
'x,-y+1/2,-z'
'-x,y+1/2,z'
'-x,y+1/2,-z+1/2'
'x,-y+1/2,z+1/2'
loop_
_atom_site_label
_atom_site_fract_x
_atom_site_fract_y
_atom_site_fract_z
_atom_site_occupancy
Ca1 0.012 0.067 0.250 1
Ca2 0.340 0.189 0.750 1
Cr1 0.201 0.592 0.567 1
O1 0.075 0.115 0.614 1
O2 0.108 0.201 0.250 1
O3 0.118 0.078 0.750 1
O4 0.184 0.588 0.076 1
O5 0.262 0.504 0.621 1
O6 0.383 0.660 0.611 1
O7 0.464 0.149 0.195 1
```

Properties
Energy of formation   -1.244 eV per atom
Total magnetic moment   2.000 μB/f.u.
Crystal system   orthorhombic


No. 5
A relaxed Na5Mn7O15 crystal, computed with PBE+U.

Cell and atoms, written as CIF:
```
data_Na5Mn7O15
_chemical_formula_sum 'Na5 Mn7 O15'
_symmetry_space_group_name_H-M 'P 1'
_symmetry_Int_Tables_number 1
_cell_length_a 6.266
_cell_length_b 6.358
_cell_length_c 10.039
_cell_angle_alpha 89.69
_cell_angle_beta 76.86
_cell_angle_gamma 60.71
loop_
_symmetry_equiv_pos_as_xyz
'x,y,z'
loop_
_atom_site_label
_atom_site_fract_x
_atom_site_fract_y
_atom_site_fract_z
_atom_site_occupancy
Na1 0.000 0.000 0.000 1
Na2 0.023 0.475 0.508 1
Na3 0.768 0.612 0.860 1
Na4 0.796 0.091 0.355 1
Na5 0.902 0.044 0.688 1
Mn1 0.378 0.309 0.934 1
Mn2 0.394 0.045 0.185 1
Mn3 0.394 0.546 0.184 1
Mn4 0.406 0.782 0.436 1
Mn5 0.422 0.504 0.671 1
Mn6 0.425 0.043 0.671 1
Mn7 0.893 0.546 0.184 1
O1 0.152 0.453 0.284 1
O2 0.159 0.211 0.067 1
O3 0.184 0.622 0.051 1
O4 0.200 0.401 0.785 1
O5 0.200 0.681 0.564 1
O6 0.220 0.876 0.291 1
O7 0.221 0.090 0.549 1
O8 0.564 0.995 0.826 1
O9 0.570 0.214 0.078 1
O10 0.581 0.416 0.816 1
O11 0.586 0.688 0.589 1
O12 0.598 0.474 0.317 1
O13 0.609 0.207 0.573 1
O14 0.626 0.878 0.303 1
O15 0.636 0.638 0.083 1
```

Properties
Energy of formation   -1.890 eV per atom
Total magnetic moment   24.002 μB/f.u.
Crystal system   triclinic


No. 6
A relaxed MgCo2Ag2O6 crystal, computed with PBE+U.

Cell and atoms, written as CIF:
```
data_MgCo2Ag2O6
_chemical_formula_sum 'Mg1 Co2 Ag2 O6'
_symmetry_space_group_name_H-M 'P -1'
_symmetry_Int_Tables_number 2
_cell_length_a 5.035
_cell_length_b 5.044
_cell_length_c 6.461
_cell_angle_alpha 67.04
_cell_angle_beta 67.09
_cell_angle_gamma 60.08
loop_
_symmetry_equiv_pos_as_xyz
'x,y,z'
'-x,-y,-z'
loop_
_atom_site_label
_atom_site_fract_x
_atom_site_fract_y
_atom_site_fract_z
_atom_site_occupancy
Mg1 0.000 0.000 0.000 1
Co1 0.337 0.336 0.989 1
Ag1 0.165 0.166 0.505 1
O1 0.052 0.708 0.824 1
O2 0.293 0.585 0.176 1
O3 0.416 0.054 0.824 1
```

Properties
E above lowest polymorph   0.0000 eV per atom
Energy of formation   -1.187 eV per atom
Total magnetic moment   1.995 μB/f.u.
Crystal system   triclinic


No. 7
A relaxed Fe4O3F5 crystal, computed with PBE+U.

Cell and atoms, written as CIF:
```
data_Fe4O3F5
_chemical_formula_sum 'Fe8 O6 F10'
_symmetry_space_group_name_H-M 'C 1 m 1'
_symmetry_Int_Tables_number 8
_cell_length_a 9.583
_cell_length_b 6.178
_cell_length_c 4.800
_cell_angle_alpha 90.00
_cell_angle_beta 94.30
_cell_angle_gamma 90.00
loop_
_symmetry_equiv_pos_as_xyz
'x,y,z'
'x,-y,z'
'x+1/2,y+1/2,z'
'x+1/2,-y+1/2,z'
loop_
_atom_site_label
_atom_site_fract_x
_atom_site_fract_y
_atom_site_fract_z
_atom_site_occupancy
Fe1 0.000 0.000 0.000 1
Fe2 0.004 0.500 0.005 1
Fe3 0.244 0.261 0.487 1
O1 0.150 0.500 0.308 1
O2 0.153 0.000 0.299 1
O3 0.349 0.500 0.700 1
F1 0.100 0.238 0.795 1
F2 0.349 0.000 0.692 1
F3 0.398 0.259 0.197 1
```

Properties
E above lowest polymorph   0.0522 eV per atom
Energy of formation   -2.143 eV per atom
Total magnetic moment   19.001 μB/f.u.
Crystal system   monoclinic


No. 8
A relaxed FeSO7 crystal, computed with PBE+U.

Cell and atoms, written as CIF:
```
data_FeSO7
_chemical_formula_sum 'Fe2 S2 O14'
_symmetry_space_group_name_H-M 'P 1 21/m 1'
_symmetry_Int_Tables_number 11
_cell_length_a 6.084
_cell_length_b 7.051
_cell_length_c 6.906
_cell_angle_alpha 90.00
_cell_angle_beta 103.57
_cell_angle_gamma 90.00
loop_
_symmetry_equiv_pos_as_xyz
'x,y,z'
'-x,-y,-z'
'-x,y+1/2,-z'
'x,-y+1/2,z'
loop_
_atom_site_label
_atom_site_fract_x
_atom_site_fract_y
_atom_site_fract_z
_atom_site_occupancy
Fe1 0.000 0.000 0.000 1
S1 0.339 0.250 0.369 1
O1 0.087 0.750 0.074 1
O2 0.208 0.546 0.850 1
O3 0.261 0.250 0.556 1
O4 0.263 0.077 0.248 1
O5 0.412 0.750 0.565 1
```

Properties
E above lowest polymorph   0.0000 eV per atom
Energy of formation   -0.783 eV per atom
Total magnetic moment   8.000 μB/f.u.
Crystal system   monoclinic